Entry 1:
LiNb2P3O12: relaxed, PBE.

Cell lengths 8.8661, 8.9797, 15.1269 Å; angles 90.00, 125.00, 90.00 degrees
With the nearest neighbours (Å) after each atom.
Positions (direct):
1 Li 0.0308 0.2248 0.3234  4 O 1.98-2.05
2 Li 0.0308 0.2752 0.8234  4 O 1.98-2.05
3 Li 0.9692 0.7248 0.1766  4 O 1.98-2.05
4 Li 0.9692 0.7752 0.6766  4 O 1.98-2.05
5 Nb 0.1426 0.5431 0.3874  6 O 2.02-2.12
6 Nb 0.1426 0.9569 0.8874  6 O 2.02-2.12
7 Nb 0.3701 0.5294 0.1197  6 O 2.03-2.08
8 Nb 0.3701 0.9706 0.6197  6 O 2.03-2.08
9 Nb 0.6299 0.0294 0.3803  6 O 2.03-2.08
10 Nb 0.6299 0.4706 0.8803  6 O 2.03-2.08
11 Nb 0.8574 0.0431 0.1126  6 O 2.02-2.12
12 Nb 0.8574 0.4569 0.6126  6 O 2.02-2.12
13 P 0.0322 0.1011 0.6446  4 O 1.53-1.56
14 P 0.0322 0.3989 0.1446  4 O 1.53-1.56
15 P 0.2460 0.6194 0.6464  4 O 1.54-1.55
16 P 0.2460 0.8806 0.1464  4 O 1.54-1.55
17 P 0.4563 0.2504 0.4913  4 O 1.53-1.55
18 P 0.4563 0.2496 0.9913  4 O 1.53-1.55
19 P 0.5437 0.7504 0.0087  4 O 1.53-1.55
20 P 0.5437 0.7496 0.5087  4 O 1.53-1.55
21 P 0.7540 0.1194 0.8536  4 O 1.54-1.55
22 P 0.7540 0.3806 0.3536  4 O 1.54-1.55
23 P 0.9678 0.6011 0.8554  4 O 1.53-1.56
24 P 0.9678 0.8989 0.3554  4 O 1.53-1.56
25 O 0.0035 0.2453 0.1802  1 P 1.55
26 O 0.0035 0.2547 0.6802  1 P 1.55
27 O 0.0591 0.5200 0.2268  1 P 1.56
28 O 0.0591 0.9800 0.7268  1 P 1.56
29 O 0.0845 0.5951 0.6576  1 P 1.55
30 O 0.0845 0.9049 0.1576  1 P 1.55
31 O 0.1425 0.5572 0.9656  1 P 1.54
32 O 0.1425 0.9428 0.4656  1 P 1.54
33 O 0.1850 0.5739 0.5324  1 P 1.54
34 O 0.1850 0.9261 0.0324  1 P 1.54
35 O 0.2023 0.1043 0.6418  1 P 1.53
36 O 0.2023 0.3957 0.1418  1 P 1.53
37 O 0.2690 0.1676 0.9222  1 P 1.55
38 O 0.2690 0.3324 0.4222  1 P 1.55
39 O 0.2937 0.7127 0.1666  1 P 1.55
40 O 0.2937 0.7873 0.6666  1 P 1.55
41 O 0.3860 0.6384 0.4384  1 P 1.54
42 O 0.3860 0.8616 0.9384  1 P 1.54
43 O 0.4116 0.5221 0.7294  1 P 1.54
44 O 0.4116 0.9779 0.2294  1 P 1.54
45 O 0.4452 0.1424 0.5660  1 P 1.53
46 O 0.4452 0.3576 0.0660  1 P 1.53
47 O 0.4851 0.1686 0.4124  1 P 1.54
48 O 0.4851 0.3314 0.9124  1 P 1.54
49 O 0.5149 0.6686 0.0876  1 P 1.54
50 O 0.5149 0.8314 0.5876  1 P 1.54
51 O 0.5548 0.6424 0.9340  1 P 1.53
52 O 0.5548 0.8576 0.4340  1 P 1.53
53 O 0.5884 0.0221 0.7706  1 P 1.54
54 O 0.5884 0.4779 0.2706  1 P 1.54
55 O 0.6140 0.1384 0.0616  1 P 1.54
56 O 0.6140 0.3616 0.5616  1 P 1.54
57 O 0.7063 0.2127 0.3334  1 P 1.55
58 O 0.7063 0.2873 0.8334  1 P 1.55
59 O 0.7310 0.6676 0.5778  1 P 1.55
60 O 0.7310 0.8324 0.0778  1 P 1.55
61 O 0.7977 0.6043 0.8582  1 P 1.53
62 O 0.7977 0.8957 0.3582  1 P 1.53
63 O 0.8150 0.0739 0.9676  1 P 1.54
64 O 0.8150 0.4261 0.4676  1 P 1.54
65 O 0.8575 0.0572 0.5344  1 P 1.54
66 O 0.8575 0.4428 0.0344  1 P 1.54
67 O 0.9155 0.0951 0.8424  1 P 1.55
68 O 0.9155 0.4049 0.3424  1 P 1.55
69 O 0.9409 0.0200 0.2732  1 P 1.56
70 O 0.9409 0.4800 0.7732  1 P 1.56
71 O 0.9965 0.7453 0.3198  1 P 1.55
72 O 0.9965 0.7547 0.8198  1 P 1.55

Calculated values
energy of formation: -268 kJ per mole of atoms
energy above the lowest structure with this stoichiometry: 0.00 eV per formula unit
total magnetic moment: 8.0 μB per cell
crystal system: monoclinic

***

Entry 2:
LiNb2P3O12: relaxed, PBE.

Cell lengths 8.6721, 8.6781, 9.1291 Å; angles 90.82, 118.07, 119.14 degrees
With the nearest neighbours (Å) after each atom.
Positions (direct):
1 Li 0.2328 0.2638 0.4142  3 O 2.00-2.09
2 Li 0.7672 0.7362 0.5858  3 O 2.00-2.09
3 Nb 0.2102 0.8565 0.5631  6 O 2.01-2.13
4 Nb 0.2118 0.3670 0.0693  6 O 2.03-2.14
5 Nb 0.7882 0.6330 0.9307  6 O 2.03-2.14
6 Nb 0.7898 0.1435 0.4369  6 O 2.01-2.13
7 P 0.0077 0.5397 0.7515  4 O 1.54-1.56
8 P 0.2774 0.0327 0.2494  4 O 1.53-1.57
9 P 0.2880 0.2518 0.7453  4 O 1.53-1.56
10 P 0.7120 0.7482 0.2547  4 O 1.53-1.56
11 P 0.7226 0.9673 0.7506  4 O 1.53-1.57
12 P 0.9923 0.4603 0.2485  4 O 1.54-1.56
13 O 0.0830 0.8685 0.0824  1 P 1.54
14 O 0.1145 0.2431 0.5710  1 P 1.56
15 O 0.1310 0.3933 0.2527  1 P 1.56
16 O 0.1341 0.5312 0.9351  1 P 1.54
17 O 0.1423 0.6591 0.3817  1 P 1.55
18 O 0.1579 0.6750 0.7013  1 P 1.54
19 O 0.2356 0.0244 0.3995  1 P 1.57
20 O 0.2584 0.0600 0.7270  1 P 1.55
21 O 0.2896 0.3090 0.9053  1 P 1.53
22 O 0.3125 0.2202 0.2233  1 P 1.55
23 O 0.4716 0.0298 0.3017  1 P 1.53
24 O 0.4972 0.3965 0.7611  1 P 1.56
25 O 0.5028 0.6035 0.2389  1 P 1.56
26 O 0.5284 0.9702 0.6983  1 P 1.53
27 O 0.6875 0.7798 0.7767  1 P 1.55
28 O 0.7104 0.6910 0.0947  1 P 1.53
29 O 0.7416 0.9400 0.2730  1 P 1.55
30 O 0.7644 0.9756 0.6005  1 P 1.57
31 O 0.8421 0.3250 0.2987  1 P 1.54
32 O 0.8577 0.3409 0.6183  1 P 1.55
33 O 0.8659 0.4688 0.0649  1 P 1.54
34 O 0.8690 0.6067 0.7473  1 P 1.56
35 O 0.8855 0.7569 0.4290  1 P 1.56
36 O 0.9170 0.1315 0.9176  1 P 1.54

Calculated values
energy of formation: -267 kJ per mole of atoms
energy above the lowest structure with this stoichiometry: 0.18 eV per formula unit
total magnetic moment: 4.0 μB per cell
crystal system: triclinic

***

Entry 3:
Li2NbP2O8: relaxed, PBE.

Cell lengths 6.0411, 4.8482, 10.3960 Å; angles 90.00, 90.13, 90.00 degrees
With the nearest neighbours (Å) after each atom.
Positions (direct):
1 Li 0.0000 0.2201 0.0000  4 O 2.05-2.17
2 Li 0.0000 0.7799 0.5000  4 O 2.05-2.17
3 Li 0.7882 0.2433 0.7135  3 O 1.96-2.15
4 Li 0.7882 0.7567 0.2135  3 O 1.96-2.15
5 Nb 0.4828 0.2751 0.4359  6 O 2.00-2.24
6 Nb 0.4828 0.7249 0.9359  6 O 2.00-2.24
7 P 0.4973 0.1641 0.1158  4 O 1.55-1.57
8 P 0.4973 0.8359 0.6158  4 O 1.55-1.57
9 P 0.9810 0.3067 0.3101  4 O 1.51-1.63
10 P 0.9810 0.6933 0.8101  4 O 1.51-1.63
11 O 0.1838 0.4256 0.3928  1 P 1.60
12 O 0.1838 0.5744 0.8928  1 P 1.60
13 O 0.3016 0.0410 0.0358  1 P 1.56
14 O 0.3016 0.9590 0.5358  1 P 1.56
15 O 0.4881 0.0711 0.2584  1 P 1.55
16 O 0.4881 0.9289 0.7584  1 P 1.55
17 O 0.5113 0.4817 0.1063  1 P 1.55
18 O 0.5113 0.5183 0.6063  1 P 1.55
19 O 0.6965 0.0079 0.0520  1 P 1.57
20 O 0.6965 0.9921 0.5520  1 P 1.57
21 O 0.7707 0.4512 0.3810  1 P 1.63
22 O 0.7707 0.5488 0.8810  1 P 1.63
23 O 0.9674 0.0033 0.8233  1 P 1.51
24 O 0.9674 0.9967 0.3233  1 P 1.51
25 O 0.9846 0.4264 0.1759  1 P 1.51
26 O 0.9846 0.5736 0.6759  1 P 1.51

Calculated values
energy of formation: -262 kJ per mole of atoms
energy above the lowest structure with this stoichiometry: 0.43 eV per formula unit
total magnetic moment: 2.0 μB per cell
crystal system: monoclinic

***

Entry 4:
LiNb2P2O10: relaxed, PBE.

Cell lengths 6.5122, 6.5122, 5.0205 Å; angles 90.00, 90.00, 90.00 degrees
With the nearest neighbours (Å) after each atom.
Positions (direct):
1 Li 0.0000 0.0000 0.0000  4 O 1.96
2 Nb 0.0000 0.5000 0.2319  1 O 1.75
3 Nb 0.5000 0.0000 0.7681  1 O 1.75
4 P 0.0000 0.0000 0.5000  4 O 1.54
5 P 0.5000 0.5000 0.5000  4 O 1.54
6 O 0.0000 0.1842 0.3079  1 P 1.54
7 O 0.0000 0.5000 0.8833  1 Nb 1.75
8 O 0.0000 0.8158 0.3079  1 P 1.54
9 O 0.1842 0.0000 0.6921  1 P 1.54
10 O 0.3053 0.5000 0.3241  1 P 1.54
11 O 0.5000 0.0000 0.1167  1 Nb 1.75
12 O 0.5000 0.3053 0.6759  1 P 1.54
13 O 0.5000 0.6947 0.6759  1 P 1.54
14 O 0.6947 0.5000 0.3241  1 P 1.54
15 O 0.8158 0.0000 0.6921  1 P 1.54

Calculated values
energy of formation: -267 kJ per mole of atoms
energy above the lowest structure with this stoichiometry: 0.29 eV per formula unit
total magnetic moment: 1.0 μB per cell
crystal system: tetragonal